1.
Tb3Ga8Au3 | PBE | relaxed

abc: 4.363 9.617 12.868
angles: 90.00 90.00 90.00
Space group Immm (No. 71)
Symmetry-distinct sites (fractional):
Tb: 0.000 0.000 0.000 (multiplicity 2)
Tb: 0.000 0.000 0.303 (multiplicity 4)
Ga: 0.000 0.282 0.143 (multiplicity 8)
Ga: 0.000 0.371 0.340 (multiplicity 8)
Au: 0.000 0.201 0.500 (multiplicity 4)
Au: 0.000 0.500 0.000 (multiplicity 2)

---

2.
TbGaAu2 | PBE | relaxed

abc: 6.864 6.864 6.864
angles: 90.00 90.00 90.00
Space group Fm-3m (No. 225)
Symmetry-distinct sites (fractional):
Tb: 0.000 0.000 0.000 (multiplicity 4)
Ga: 0.000 0.000 0.500 (multiplicity 4)
Au: 0.250 0.250 0.250 (multiplicity 8)

---

3.
ThGaAu2 | PBE | relaxed

abc: 7.085 7.085 7.085
angles: 90.00 90.00 90.00
Space group Fm-3m (No. 225)
Symmetry-distinct sites (fractional):
Th: 0.000 0.000 0.000 (multiplicity 4)
Ga: 0.000 0.000 0.500 (multiplicity 4)
Au: 0.250 0.250 0.250 (multiplicity 8)

---

4.
TmGaAu | PBE | relaxed

abc: 10.403 4.498 7.017
angles: 90.00 131.62 90.00
Space group C2/m (No. 12)
Symmetry-distinct sites (fractional):
Tm: 0.036 0.000 0.296 (multiplicity 4)
Ga: 0.158 0.500 0.109 (multiplicity 4)
Au: 0.178 0.500 0.716 (multiplicity 4)

---

5.
UGaAu | PBE | relaxed

abc: 4.8965 4.8965 5.7215
angles: 90.00 90.00 120.00
Space group P6_3/mmc (No. 194)
Symmetry-distinct sites (fractional):
U: 0.0000 0.0000 0.0000 (multiplicity 2)
Ga: 0.3333 0.6667 0.2500 (multiplicity 2)
Au: 0.3333 0.6667 0.7500 (multiplicity 2)

---

6.
UGaAu | PBE | relaxed

abc: 10.231 4.861 5.764
angles: 90.00 124.25 90.00
Space group C2/m (No. 12)
Symmetry-distinct sites (fractional):
U: 0.002 0.000 0.264 (multiplicity 4)
Ga: 0.161 0.500 0.158 (multiplicity 4)
Au: 0.174 0.500 0.676 (multiplicity 4)

---

7.
YGaAu | PBE | relaxed

abc: 10.537 4.522 7.160
angles: 90.00 131.92 90.00
Space group C2/m (No. 12)
Symmetry-distinct sites (fractional):
Y: 0.037 0.000 0.297 (multiplicity 4)
Ga: 0.158 0.500 0.107 (multiplicity 4)
Au: 0.178 0.500 0.718 (multiplicity 4)

---

8.
YGaAu2 | PBE | relaxed

abc: 6.882 6.882 6.882
angles: 90.00 90.00 90.00
Space group Fm-3m (No. 225)
Symmetry-distinct sites (fractional):
Y: 0.000 0.000 0.000 (multiplicity 4)
Ga: 0.000 0.000 0.500 (multiplicity 4)
Au: 0.250 0.250 0.250 (multiplicity 8)

---

Let's list calculated formation energy in order: -0.557, -0.658, -0.600, -0.779, -0.305, -0.310, -0.805, -0.657 eV per atom.